No. 1
Na2Ge2O5 | GGA-PBE | relaxed

Geometry as CIF:
```
data_Na2Ge2O5
_cell_length_a 5.035
_cell_length_b 24.776
_cell_length_c 8.539
_cell_angle_alpha 90.00
_cell_angle_beta 90.24
_cell_angle_gamma 90.00
_symmetry_space_group_name_H-M 'P 1'
_symmetry_Int_Tables_number 1
_symmetry_space_group_name_Hall 'P 1'
loop_
_atom_site_label
_atom_site_type_symbol
_atom_site_fract_x
_atom_site_fract_y
_atom_site_fract_z
Na1 Na 0.220 0.013 0.148
Na2 Na 0.220 0.487 0.648
Na3 Na 0.243 0.526 0.101
Na4 Na 0.243 0.974 0.601
Na5 Na 0.259 0.221 0.776
Na6 Na 0.259 0.279 0.276
Na7 Na 0.276 0.739 0.476
Na8 Na 0.276 0.761 0.976
Na9 Na 0.724 0.239 0.024
Na10 Na 0.724 0.261 0.524
Na11 Na 0.741 0.721 0.724
Na12 Na 0.741 0.779 0.224
Na13 Na 0.757 0.026 0.399
Na14 Na 0.757 0.474 0.899
Na15 Na 0.780 0.513 0.352
Na16 Na 0.780 0.987 0.852
Ge1 Ge 0.183 0.161 0.140
Ge2 Ge 0.183 0.339 0.640
Ge3 Ge 0.201 0.637 0.802
Ge4 Ge 0.201 0.863 0.302
Ge5 Ge 0.297 0.110 0.480
Ge6 Ge 0.297 0.390 0.980
Ge7 Ge 0.319 0.590 0.459
Ge8 Ge 0.319 0.910 0.959
Ge9 Ge 0.681 0.090 0.041
Ge10 Ge 0.681 0.410 0.541
Ge11 Ge 0.703 0.610 0.020
Ge12 Ge 0.703 0.890 0.520
Ge13 Ge 0.799 0.137 0.698
Ge14 Ge 0.799 0.363 0.198
Ge15 Ge 0.817 0.661 0.360
Ge16 Ge 0.817 0.839 0.860
O1 O 0.150 0.134 0.658
O2 O 0.150 0.366 0.158
O3 O 0.170 0.650 0.384
O4 O 0.170 0.850 0.884
O5 O 0.225 0.045 0.419
O6 O 0.225 0.455 0.919
O7 O 0.243 0.166 0.346
O8 O 0.243 0.334 0.846
O9 O 0.248 0.528 0.374
O10 O 0.248 0.972 0.874
O11 O 0.252 0.223 0.054
O12 O 0.252 0.277 0.554
O13 O 0.256 0.583 0.665
O14 O 0.256 0.917 0.165
O15 O 0.274 0.702 0.746
O16 O 0.274 0.798 0.246
O17 O 0.330 0.102 0.059
O18 O 0.330 0.398 0.559
O19 O 0.350 0.612 0.979
O20 O 0.350 0.888 0.479
O21 O 0.650 0.112 0.521
O22 O 0.650 0.388 0.021
O23 O 0.670 0.602 0.441
O24 O 0.670 0.898 0.941
O25 O 0.726 0.202 0.754
O26 O 0.726 0.298 0.254
O27 O 0.744 0.083 0.835
O28 O 0.744 0.417 0.335
O29 O 0.748 0.723 0.446
O30 O 0.748 0.777 0.946
O31 O 0.752 0.028 0.126
O32 O 0.752 0.472 0.626
O33 O 0.757 0.666 0.154
O34 O 0.757 0.834 0.654
O35 O 0.775 0.545 0.081
O36 O 0.775 0.955 0.581
O37 O 0.830 0.150 0.116
O38 O 0.830 0.350 0.616
O39 O 0.850 0.634 0.842
O40 O 0.850 0.866 0.342
```

Results
**Electronic total energy**: -5.825 eV per atom
**ρ**: 3.383 g/cm3
**Distance to the lowest polymorph of the same formula**: 0.01 eV per formula unit
**Formation energy**: -2137 meV per atom
**Total energy after the MP2020 corrections**: -0.2281 hartree per atom

No. 2
Na2Ge2O5 | GGA-PBE | relaxed

Geometry as CIF:
```
data_Na2Ge2O5
_cell_length_a 5.041
_cell_length_b 12.463
_cell_length_c 10.103
_cell_angle_alpha 90.00
_cell_angle_beta 119.41
_cell_angle_gamma 90.00
_symmetry_space_group_name_H-M 'P 1'
_symmetry_Int_Tables_number 1
_symmetry_space_group_name_Hall 'P 1'
loop_
_atom_site_label
_atom_site_type_symbol
_atom_site_fract_x
_atom_site_fract_y
_atom_site_fract_z
Na1 Na 0.106 0.037 0.380
Na2 Na 0.106 0.463 0.880
Na3 Na 0.392 0.502 0.630
Na4 Na 0.392 0.998 0.130
Na5 Na 0.608 0.002 0.870
Na6 Na 0.608 0.498 0.370
Na7 Na 0.894 0.537 0.120
Na8 Na 0.894 0.963 0.620
Ge1 Ge 0.021 0.176 0.825
Ge2 Ge 0.021 0.324 0.325
Ge3 Ge 0.359 0.695 0.053
Ge4 Ge 0.359 0.805 0.553
Ge5 Ge 0.641 0.195 0.447
Ge6 Ge 0.641 0.305 0.947
Ge7 Ge 0.979 0.676 0.675
Ge8 Ge 0.979 0.824 0.175
O1 O 0.071 0.717 0.861
O2 O 0.071 0.783 0.361
O3 O 0.131 0.044 0.866
O4 O 0.131 0.456 0.366
O5 O 0.279 0.220 0.437
O6 O 0.279 0.280 0.937
O7 O 0.307 0.694 0.650
O8 O 0.307 0.806 0.150
O9 O 0.359 0.566 0.115
O10 O 0.359 0.934 0.615
O11 O 0.641 0.066 0.385
O12 O 0.641 0.434 0.885
O13 O 0.693 0.194 0.850
O14 O 0.693 0.306 0.350
O15 O 0.721 0.720 0.063
O16 O 0.721 0.780 0.563
O17 O 0.869 0.544 0.634
O18 O 0.869 0.956 0.134
O19 O 0.929 0.217 0.639
O20 O 0.929 0.283 0.139
```

Results
**Electronic total energy**: -5.814 eV per atom
**ρ**: 3.258 g/cm3
**Distance to the lowest polymorph of the same formula**: 0.12 eV per formula unit
**Formation energy**: -2125 meV per atom
**Total energy after the MP2020 corrections**: -0.2277 hartree per atom

No. 3
Na2Ge2O5 | GGA-PBE | relaxed

Geometry as CIF:
```
data_Na2Ge2O5
_cell_length_a 6.612
_cell_length_b 5.087
_cell_length_c 16.309
_cell_angle_alpha 90.00
_cell_angle_beta 90.00
_cell_angle_gamma 90.00
_symmetry_space_group_name_H-M 'P 1'
_symmetry_Int_Tables_number 1
_symmetry_space_group_name_Hall 'P 1'
loop_
_atom_site_label
_atom_site_type_symbol
_atom_site_fract_x
_atom_site_fract_y
_atom_site_fract_z
Na1 Na 0.100 0.222 0.056
Na2 Na 0.100 0.778 0.556
Na3 Na 0.400 0.278 0.556
Na4 Na 0.400 0.722 0.056
Na5 Na 0.600 0.278 0.944
Na6 Na 0.600 0.722 0.444
Na7 Na 0.900 0.222 0.444
Na8 Na 0.900 0.778 0.944
Ge1 Ge 0.100 0.305 0.845
Ge2 Ge 0.100 0.695 0.345
Ge3 Ge 0.400 0.195 0.345
Ge4 Ge 0.400 0.805 0.845
Ge5 Ge 0.600 0.195 0.155
Ge6 Ge 0.600 0.805 0.655
Ge7 Ge 0.900 0.305 0.655
Ge8 Ge 0.900 0.695 0.155
O1 O 0.000 0.203 0.750
O2 O 0.000 0.797 0.250
O3 O 0.056 0.236 0.572
O4 O 0.056 0.764 0.072
O5 O 0.154 0.348 0.352
O6 O 0.154 0.652 0.852
O7 O 0.346 0.152 0.852
O8 O 0.346 0.848 0.352
O9 O 0.444 0.264 0.072
O10 O 0.444 0.736 0.572
O11 O 0.500 0.297 0.250
O12 O 0.500 0.703 0.750
O13 O 0.556 0.264 0.428
O14 O 0.556 0.736 0.928
O15 O 0.654 0.152 0.648
O16 O 0.654 0.848 0.148
O17 O 0.846 0.348 0.148
O18 O 0.846 0.652 0.648
O19 O 0.944 0.236 0.928
O20 O 0.944 0.764 0.428
```

Results
**Electronic total energy**: -5.815 eV per atom
**ρ**: 3.284 g/cm3
**Distance to the lowest polymorph of the same formula**: 0.10 eV per formula unit
**Formation energy**: -2127 meV per atom
**Total energy after the MP2020 corrections**: -0.2277 hartree per atom